--- a ---
GGA-PBE PtN2Cl2, optimized geometry; volume = 235 Å³ per cell; space-group type = No. 2
1.0
6.014 0.000 0.000
-0.800 6.146 0.000
-1.612 -3.252 6.361
Pt N Cl
2 4 4
direct
0.000 0.000 0.000 Pt
0.000 0.000 0.500 Pt
0.004 0.012 0.244 N
0.270 0.228 0.515 N
0.730 0.772 0.485 N
0.996 0.988 0.756 N
0.303 0.438 0.302 Cl
0.320 0.263 0.969 Cl
0.680 0.737 0.031 Cl
0.697 0.562 0.698 Cl



--- b ---
GGA-PBE PtN2Cl2, optimized geometry; volume = 223 Å³ per cell; space-group type = No. 14
1.0
5.373 0.000 0.000
0.000 5.682 0.000
-1.120 0.000 7.315
Pt N Cl
2 4 4
direct
0.000 0.000 0.000 Pt
0.000 0.500 0.500 Pt
0.216 0.163 0.167 N
0.216 0.337 0.667 N
0.784 0.663 0.333 N
0.784 0.837 0.833 N
0.287 0.686 0.023 Cl
0.287 0.814 0.523 Cl
0.713 0.186 0.477 Cl
0.713 0.314 0.977 Cl



It is b that is most stable; the runner-up trails by 256 meV per atom.



--- a ---
GGA-PBE ZnN2Cl4, optimized geometry; volume = 2908 Å³ per cell; space-group type = No. 33
1.0
30.118 0.000 0.000
0.000 12.569 0.000
0.000 0.000 7.683
Zn N Cl
12 24 48
direct
0.059 0.034 0.000 Zn
0.121 0.528 0.437 Zn
0.235 0.348 0.032 Zn
0.265 0.848 0.532 Zn
0.379 0.028 0.937 Zn
0.441 0.534 0.500 Zn
0.559 0.466 0.000 Zn
0.621 0.972 0.437 Zn
0.735 0.152 0.032 Zn
0.765 0.652 0.532 Zn
0.879 0.472 0.937 Zn
0.941 0.966 0.500 Zn
0.002 0.631 0.204 N
0.026 0.838 0.673 N
0.118 0.395 0.081 N
0.161 0.102 0.530 N
0.171 0.907 0.039 N
0.204 0.616 0.664 N
0.296 0.116 0.164 N
0.329 0.407 0.539 N
0.339 0.602 0.030 N
0.382 0.895 0.581 N
0.474 0.338 0.173 N
0.498 0.131 0.704 N
0.502 0.869 0.204 N
0.526 0.662 0.673 N
0.618 0.105 0.081 N
0.661 0.398 0.530 N
0.671 0.593 0.039 N
0.704 0.884 0.664 N
0.796 0.384 0.164 N
0.829 0.093 0.539 N
0.839 0.898 0.030 N
0.882 0.605 0.581 N
0.974 0.162 0.173 N
0.998 0.369 0.704 N
0.001 0.433 0.885 Cl
0.026 0.215 0.208 Cl
0.059 0.105 0.754 Cl
0.066 0.757 0.751 Cl
0.068 0.923 0.200 Cl
0.110 0.419 0.638 Cl
0.123 0.643 0.242 Cl
0.159 0.974 0.521 Cl
0.181 0.034 0.024 Cl
0.209 0.615 0.872 Cl
0.222 0.404 0.283 Cl
0.243 0.288 0.783 Cl
0.257 0.788 0.283 Cl
0.278 0.904 0.783 Cl
0.291 0.115 0.372 Cl
0.319 0.534 0.524 Cl
0.341 0.474 0.021 Cl
0.377 0.143 0.742 Cl
0.390 0.919 0.138 Cl
0.432 0.423 0.700 Cl
0.434 0.257 0.251 Cl
0.441 0.605 0.254 Cl
0.474 0.715 0.708 Cl
0.499 0.933 0.385 Cl
0.501 0.067 0.885 Cl
0.526 0.285 0.208 Cl
0.559 0.395 0.754 Cl
0.566 0.743 0.751 Cl
0.568 0.577 0.200 Cl
0.610 0.081 0.638 Cl
0.623 0.857 0.242 Cl
0.659 0.526 0.521 Cl
0.681 0.466 0.024 Cl
0.709 0.885 0.872 Cl
0.722 0.096 0.283 Cl
0.743 0.212 0.783 Cl
0.757 0.712 0.283 Cl
0.778 0.596 0.783 Cl
0.791 0.385 0.372 Cl
0.819 0.966 0.524 Cl
0.841 0.026 0.021 Cl
0.877 0.357 0.742 Cl
0.890 0.581 0.138 Cl
0.932 0.077 0.700 Cl
0.934 0.243 0.251 Cl
0.941 0.895 0.254 Cl
0.974 0.785 0.708 Cl
0.999 0.567 0.385 Cl



--- b ---
GGA-PBE ZnN2Cl4, optimized geometry; volume = 4205 Å³ per cell; space-group type = No. 7
1.0
12.814 0.000 0.000
0.000 8.823 0.000
-0.809 0.000 37.190
Zn N Cl
16 32 64
direct
0.000 0.013 0.000 Zn
0.000 0.987 0.500 Zn
0.226 0.005 0.887 Zn
0.226 0.995 0.387 Zn
0.381 0.013 0.087 Zn
0.381 0.987 0.587 Zn
0.383 0.440 0.469 Zn
0.383 0.560 0.969 Zn
0.394 0.458 0.710 Zn
0.394 0.542 0.210 Zn
0.711 0.484 0.343 Zn
0.711 0.516 0.843 Zn
0.797 0.375 0.589 Zn
0.797 0.625 0.089 Zn
0.920 0.108 0.768 Zn
0.920 0.892 0.268 Zn
0.236 0.429 0.071 N
0.236 0.571 0.571 N
0.242 0.078 0.691 N
0.242 0.922 0.191 N
0.258 0.009 0.445 N
0.258 0.991 0.945 N
0.274 0.487 0.809 N
0.274 0.513 0.309 N
0.446 0.469 0.157 N
0.446 0.531 0.657 N
0.455 0.031 0.312 N
0.455 0.969 0.812 N
0.481 0.422 0.933 N
0.481 0.578 0.433 N
0.496 0.039 0.045 N
0.496 0.961 0.545 N
0.672 0.452 0.270 N
0.672 0.548 0.770 N
0.742 0.000 0.433 N
0.742 0.000 0.933 N
0.769 0.003 0.165 N
0.769 0.997 0.665 N
0.776 0.438 0.532 N
0.776 0.562 0.032 N
0.837 0.040 0.072 N
0.837 0.960 0.572 N
0.961 0.485 0.916 N
0.961 0.515 0.416 N
0.963 0.072 0.306 N
0.963 0.928 0.806 N
0.973 0.494 0.189 N
0.973 0.506 0.689 N
0.008 0.233 0.296 Cl
0.008 0.767 0.796 Cl
0.037 0.214 0.493 Cl
0.037 0.786 0.993 Cl
0.068 0.202 0.757 Cl
0.068 0.798 0.257 Cl
0.179 0.223 0.379 Cl
0.179 0.777 0.879 Cl
0.200 0.315 0.106 Cl
0.200 0.685 0.606 Cl
0.204 0.175 0.656 Cl
0.204 0.825 0.156 Cl
0.235 0.241 0.881 Cl
0.235 0.759 0.381 Cl
0.259 0.410 0.978 Cl
0.259 0.590 0.478 Cl
0.261 0.080 0.554 Cl
0.261 0.920 0.054 Cl
0.282 0.373 0.218 Cl
0.282 0.627 0.718 Cl
0.335 0.002 0.794 Cl
0.335 0.998 0.294 Cl
0.367 0.467 0.074 Cl
0.367 0.533 0.574 Cl
0.396 0.498 0.820 Cl
0.396 0.502 0.320 Cl
0.452 0.053 0.358 Cl
0.452 0.947 0.858 Cl
0.469 0.085 0.132 Cl
0.469 0.915 0.632 Cl
0.477 0.242 0.475 Cl
0.477 0.758 0.975 Cl
0.494 0.272 0.719 Cl
0.494 0.728 0.219 Cl
0.551 0.278 0.943 Cl
0.551 0.722 0.443 Cl
0.620 0.315 0.248 Cl
0.620 0.685 0.748 Cl
0.638 0.366 0.602 Cl
0.638 0.634 0.102 Cl
0.676 0.288 0.852 Cl
0.676 0.712 0.352 Cl
0.735 0.249 0.343 Cl
0.735 0.751 0.843 Cl
0.752 0.053 0.478 Cl
0.752 0.947 0.978 Cl
0.757 0.091 0.761 Cl
0.757 0.909 0.261 Cl
0.758 0.177 0.080 Cl
0.758 0.823 0.580 Cl
0.838 0.475 0.430 Cl
0.838 0.525 0.930 Cl
0.849 0.480 0.692 Cl
0.849 0.520 0.192 Cl
0.860 0.007 0.914 Cl
0.860 0.993 0.414 Cl
0.893 0.016 0.172 Cl
0.893 0.984 0.672 Cl
0.960 0.379 0.593 Cl
0.960 0.621 0.093 Cl
0.961 0.451 0.871 Cl
0.961 0.549 0.371 Cl
0.973 0.245 0.005 Cl
0.973 0.755 0.505 Cl



It is a that is most stable; the runner-up trails by 11 meV per atom.



--- a ---
GGA-PBE Na2Cl, optimized geometry; volume = 172 Å³ per cell; space-group type = No. 65
1.0
3.216 -6.632 0.000
3.216 6.632 0.000
0.000 0.000 4.027
Na Cl
4 2
direct
0.000 0.000 0.000 Na
0.196 0.804 0.500 Na
0.500 0.500 0.500 Na
0.804 0.196 0.500 Na
0.341 0.659 0.000 Cl
0.659 0.341 0.000 Cl



--- b ---
GGA-PBE Na2Cl, optimized geometry; volume = 90 Å³ per cell; space-group type = No. 166
1.0
1.967 1.136 6.729
-1.967 1.136 6.729
0.000 -2.272 6.729
Na Cl
2 1
direct
0.249 0.249 0.249 Na
0.751 0.751 0.751 Na
0.000 0.000 0.000 Cl



--- c ---
GGA-PBE Na2Cl, optimized geometry; volume = 159 Å³ per cell; space-group type = No. 123
1.0
3.556 0.000 0.000
0.000 3.556 0.000
0.000 0.000 12.593
Na Cl
4 2
direct
0.000 0.000 0.000 Na
0.000 0.000 0.273 Na
0.000 0.000 0.727 Na
0.500 0.500 0.500 Na
0.500 0.500 0.141 Cl
0.500 0.500 0.859 Cl



It is b that is most stable; the runner-up trails by 41 meV per atom.



--- a ---
GGA-PBE NaCl3, optimized geometry; volume = 169 Å³ per cell; space-group type = No. 223
1.0
5.527 0.000 0.000
0.000 5.527 0.000
0.000 0.000 5.527
Na Cl
2 6
direct
0.000 0.000 0.000 Na
0.500 0.500 0.500 Na
0.000 0.250 0.500 Cl
0.000 0.750 0.500 Cl
0.250 0.500 0.000 Cl
0.500 0.000 0.250 Cl
0.500 0.000 0.750 Cl
0.750 0.500 0.000 Cl



--- b ---
GGA-PBE NaCl3, optimized geometry; volume = 409 Å³ per cell; space-group type = No. 62
1.0
8.420 0.000 0.000
0.000 6.194 0.000
0.000 0.000 7.840
Na Cl
4 12
direct
0.163 0.250 0.023 Na
0.337 0.750 0.523 Na
0.663 0.250 0.477 Na
0.837 0.750 0.977 Na
0.075 0.750 0.279 Cl
0.123 0.250 0.539 Cl
0.156 0.750 0.838 Cl
0.344 0.250 0.338 Cl
0.377 0.750 0.039 Cl
0.425 0.250 0.779 Cl
0.575 0.750 0.221 Cl
0.623 0.250 0.961 Cl
0.656 0.750 0.662 Cl
0.844 0.250 0.162 Cl
0.877 0.750 0.461 Cl
0.925 0.250 0.721 Cl



It is b that is most stable; the runner-up trails by 240 meV per atom.